[1]
Below is a geometry-optimized CsKMg6 structure, with properties calculated at the PBE-GGA level.

## Properties
Energy of formation in meV/atom: 238.0
E_tot in hartree per atom: -0.0446

Structure (POSCAR):
```
CsKMg6
1.0
-0.721 0.336 -5.065
0.486 -6.634 -0.509
-16.084 -1.348 2.199
Cs K Mg
2 2 12
Cartesian
-4.795 -3.739 0.434
-13.080 -1.096 1.789
-5.176 -0.434 0.708
-12.975 -4.425 1.553
-0.885 -5.090 -0.212
-1.129 -1.753 0.044
-7.794 -2.112 -1.626
-7.549 -5.452 -1.882
-2.582 -0.018 -2.228
-2.213 -3.324 -2.500
-9.170 -2.448 1.143
-8.928 -5.744 0.889
-15.593 -6.103 -0.781
-15.834 -2.809 -0.528
-10.381 -4.009 -1.383
-10.498 -0.682 -1.146
```

[2]
Below is a geometry-optimized CsKMg6 structure, with properties calculated at the PBE-GGA level.

## Properties
Energy of formation in meV/atom: 308.4
E_tot in hartree per atom: -0.0420

Structure (POSCAR):
```
CsKMg6
1.0
-1.259 -5.315 0.166
6.949 -1.745 -3.179
4.957 -0.822 11.286
Cs K Mg
2 2 12
Cartesian
3.700 -3.672 0.441
2.704 -3.210 7.673
5.143 -1.149 2.209
4.147 -0.687 9.442
5.934 -1.457 -1.641
1.800 -0.419 0.251
7.595 -1.556 7.794
8.800 -4.637 8.218
5.995 -3.933 9.501
6.137 -4.076 5.988
4.938 -0.995 5.592
7.753 -1.702 4.304
1.643 -0.272 3.740
2.847 -3.354 4.164
6.991 -4.394 2.268
0.184 -2.792 1.935
```

[3]
Below is a geometry-optimized CsKMg14 structure, with properties calculated at the PBE-GGA level.

## Properties
Energy of formation in meV/atom: 239.6
E_tot in hartree per atom: -0.0473

Structure (POSCAR):
```
CsKMg14
1.0
6.966 0.000 0.000
-3.483 6.032 0.000
0.000 0.000 10.616
Cs K Mg
1 1 14
Cartesian
0.000 0.000 0.000
0.000 0.000 5.308
-1.715 3.032 5.308
-1.695 3.043 0.000
0.000 2.218 2.723
0.000 2.218 7.894
-1.562 4.923 2.723
-1.562 4.923 7.894
1.695 3.043 0.000
0.000 5.978 0.000
1.715 3.032 5.308
0.000 6.001 5.308
1.562 4.923 2.723
1.562 4.923 7.894
3.483 2.011 2.647
3.483 2.011 7.969
```

[4]
Below is a geometry-optimized CsKMg14 structure, with properties calculated at the PBE-GGA level.

## Properties
Energy of formation in meV/atom: 203.8
E_tot in hartree per atom: -0.0486

Structure (POSCAR):
```
CsKMg14
1.0
11.198 0.000 0.000
0.000 3.275 5.908
0.000 -3.275 5.908
Cs K Mg
1 1 14
Cartesian
0.000 0.000 0.000
0.000 0.000 5.887
0.000 1.640 8.857
0.000 -1.640 8.857
2.898 0.000 7.945
2.977 0.000 2.074
3.147 -1.612 4.862
3.147 1.612 4.862
5.599 0.000 0.040
5.599 -1.633 8.857
5.599 0.000 5.951
5.599 1.633 8.857
8.051 -1.612 4.862
8.051 1.612 4.862
8.220 0.000 2.074
8.300 0.000 7.945
```

[5]
Below is a geometry-optimized CsKMg6 structure, with properties calculated at the PBE-GGA level.

## Properties
Energy of formation in meV/atom: 245.7
E_tot in hartree per atom: -0.0443

Structure (POSCAR):
```
CsKMg6
1.0
6.837 0.000 0.000
0.000 5.087 0.000
-3.230 0.000 8.181
Cs K Mg
1 1 6
Cartesian
0.000 0.000 0.000
3.421 0.000 0.166
-1.591 0.000 4.349
0.119 2.543 5.283
1.764 2.543 2.587
1.797 0.000 4.357
3.532 2.543 5.146
5.195 2.543 2.599
```

[6]
Below is a geometry-optimized CsKO3 structure, with properties calculated at the PBE-GGA level.

## Properties
Energy of formation in meV/atom: -418.0
E_tot in hartree per atom: -0.1241

Structure (POSCAR):
```
CsKO3
1.0
4.493 0.000 0.000
0.000 4.493 0.000
0.000 0.000 4.493
Cs K O
1 1 3
Cartesian
0.000 0.000 0.000
2.247 2.247 2.247
0.000 0.000 2.247
0.000 2.247 0.000
2.247 0.000 0.000
```

[7]
Below is a geometry-optimized CsK5Ru2O9 structure, with properties calculated at the PBE-GGA level.

## Properties
Energy of formation in meV/atom: -1659.6
E_tot in hartree per atom: -0.1979

Structure (POSCAR):
```
CsK5Ru2O9
1.0
17.213 0.000 0.000
0.000 8.363 0.000
0.000 0.000 9.170
Cs K Ru O
4 20 8 36
Cartesian
3.920 2.091 2.263
4.687 6.272 6.849
12.527 2.091 2.322
13.293 6.272 6.907
0.395 6.272 2.270
1.761 0.032 4.904
1.761 4.149 4.904
1.782 4.270 8.965
1.782 8.275 8.965
6.825 0.088 4.380
6.825 4.094 4.380
6.845 4.214 0.319
6.845 8.331 0.319
8.211 2.091 6.855
9.002 6.272 2.315
10.368 0.032 8.851
10.368 4.149 8.851
10.389 4.270 4.790
10.389 8.275 4.790
15.431 0.088 0.205
15.431 4.094 0.205
15.452 4.214 4.266
15.452 8.331 4.266
16.818 2.091 6.900
0.098 2.091 2.304
4.214 2.091 7.292
4.393 6.272 2.707
8.509 6.272 6.889
8.705 2.091 2.282
12.820 2.091 6.464
13.000 6.272 1.879
17.115 6.272 6.867
0.038 2.091 4.261
0.149 2.091 0.350
0.998 0.503 2.328
0.998 3.679 2.328
1.736 6.272 6.912
2.475 2.091 6.738
3.230 6.272 1.341
4.196 4.832 3.801
4.196 7.713 3.801
4.411 0.650 8.386
4.411 3.531 8.386
5.376 2.091 5.926
6.132 6.272 2.153
6.870 2.091 2.327
7.609 4.685 6.913
7.609 7.860 6.913
8.458 6.272 4.935
8.569 6.272 8.847
8.644 2.091 0.324
8.755 2.091 4.236
9.604 0.503 2.257
9.604 3.679 2.257
10.343 6.272 6.843
11.081 2.091 7.017
11.837 6.272 3.244
12.802 4.832 0.784
12.802 7.713 0.784
13.018 0.650 5.369
13.018 3.531 5.369
13.983 2.091 7.829
14.739 6.272 2.432
15.477 2.091 2.258
16.216 4.685 6.843
16.216 7.860 6.843
17.065 6.272 8.821
17.175 6.272 4.909
```

[8]
Below is a geometry-optimized Cs2KU2Si4O14 structure, with properties calculated at the PBE-GGA level.

## Properties
Energy of formation in meV/atom: -3239.7
E_tot in hartree per atom: -0.2898

Structure (POSCAR):
```
Cs2KU2Si4O14
1.0
4.271 -5.905 0.000
4.271 5.905 0.000
0.000 0.000 7.700
Cs K U Si O
2 1 2 4 14
Cartesian
4.271 3.345 0.000
4.271 -3.345 0.000
0.000 0.000 3.850
2.135 2.952 3.850
2.135 -2.952 3.850
2.636 0.000 1.582
2.636 0.000 6.118
5.906 0.000 1.582
5.906 0.000 6.118
2.057 1.355 2.270
2.057 1.355 5.429
4.271 2.978 3.850
2.125 0.000 0.000
2.057 -1.355 2.270
2.057 -1.355 5.429
4.271 0.000 1.559
4.271 0.000 6.141
6.485 1.355 2.270
6.485 1.355 5.429
6.417 0.000 0.000
4.271 -2.978 3.850
6.485 -1.355 2.270
6.485 -1.355 5.429
```

[9]
Below is a geometry-optimized Cs2K2TeO5 structure, with properties calculated at the PBE-GGA level.

## Properties
Energy of formation in meV/atom: -1788.4
E_tot in hartree per atom: -0.1703

Structure (POSCAR):
```
Cs2K2TeO5
1.0
9.362 0.000 0.000
0.000 9.362 0.000
0.000 0.000 9.712
Cs K Te O
8 8 4 20
Cartesian
0.000 4.681 2.428
0.000 4.681 7.284
1.548 1.548 0.000
3.133 6.229 4.856
4.681 0.000 2.428
4.681 0.000 7.284
6.229 3.133 4.856
7.814 7.814 0.000
1.158 8.203 2.765
1.158 8.203 6.947
3.522 3.522 2.091
3.522 3.522 7.620
5.839 5.839 2.091
5.839 5.839 7.620
8.203 1.158 2.765
8.203 1.158 6.947
1.801 1.801 4.856
2.880 6.482 0.000
6.482 2.880 0.000
7.560 7.560 4.856
0.015 2.515 4.856
1.533 7.829 0.000
1.688 1.688 2.903
1.688 1.688 6.809
2.166 4.696 0.000
2.515 0.015 4.856
2.993 6.369 1.953
2.993 6.369 7.759
3.148 3.148 4.856
4.665 7.196 0.000
4.696 2.166 0.000
6.214 6.214 4.856
6.369 2.993 1.953
6.369 2.993 7.759
6.847 9.346 4.856
7.196 4.665 0.000
7.673 7.673 2.903
7.673 7.673 6.809
7.829 1.533 0.000
9.346 6.847 4.856
```

[10]
Below is a geometry-optimized CsK7Rb5 structure, with properties calculated at the PBE-GGA level.

## Properties
Energy of formation in meV/atom: 22.6
E_tot in hartree per atom: -0.0375

Structure (POSCAR):
```
CsK7Rb5
1.0
8.789 0.000 0.000
-4.394 7.611 0.000
0.000 0.000 33.034
Cs K Rb
2 14 10
Cartesian
0.000 5.074 8.258
4.394 2.537 24.775
0.000 0.000 0.000
0.000 0.000 16.517
0.000 2.544 3.798
0.000 2.544 12.719
-2.191 6.339 3.798
-2.191 6.339 12.719
2.203 1.272 20.315
2.203 1.272 29.236
2.191 6.339 3.798
2.191 6.339 12.719
6.585 1.272 20.315
6.585 1.272 29.236
4.394 5.067 20.315
4.394 5.067 29.236
0.000 0.000 8.258
0.000 0.000 24.775
0.000 5.074 17.393
0.000 5.074 22.424
0.000 5.074 27.127
0.000 5.074 32.158
4.394 2.537 0.876
4.394 2.537 5.907
4.394 2.537 10.610
4.394 2.537 15.641
```

[11]
Below is a geometry-optimized CsLa3 structure, with properties calculated at the PBE-GGA level.

## Properties
Energy of formation in meV/atom: 520.4
E_tot in hartree per atom: -0.1251

Structure (POSCAR):
```
CsLa3
1.0
-2.742 2.742 5.503
2.742 -2.742 5.503
2.742 2.742 -5.503
Cs La
1 3
Cartesian
0.000 0.000 0.000
2.742 0.000 2.752
0.000 0.000 5.503
0.000 2.742 2.752
```

[12]
Below is a geometry-optimized CsLa3 structure, with properties calculated at the PBE-GGA level.

## Properties
Energy of formation in meV/atom: 530.4
E_tot in hartree per atom: -0.1248

Structure (POSCAR):
```
CsLa3
1.0
5.493 0.000 0.000
0.000 5.493 0.000
0.000 0.000 5.493
Cs La
1 3
Cartesian
0.000 0.000 0.000
0.000 2.746 2.746
2.746 0.000 2.746
2.746 2.746 0.000
```